# 1
DFT (PBE-GGA) results for a relaxed Zn4P3H10C2NO13 crystal.

The structure in CIF format:
```
data_Zn4P3H10C2NO13
_chemical_formula_sum 'Zn16 P12 H40 C8 N4 O52'
_cell_length_a 5.349
_cell_length_b 15.414
_cell_length_c 18.267
_cell_angle_alpha 90.00
_cell_angle_beta 104.64
_cell_angle_gamma 90.00
_space_group_name_H-M_alt 'P 1'
_space_group_IT_number 1
loop_
_space_group_symop_operation_xyz
'x,y,z'
loop_
_atom_site_label
_atom_site_type_symbol
_atom_site_fract_x
_atom_site_fract_y
_atom_site_fract_z
_atom_site_occupancy
Zn1 Zn 0.066 0.243 0.182 1
Zn2 Zn 0.066 0.257 0.682 1
Zn3 Zn 0.200 0.099 0.990 1
Zn4 Zn 0.200 0.401 0.490 1
Zn5 Zn 0.258 0.097 0.459 1
Zn6 Zn 0.258 0.403 0.959 1
Zn7 Zn 0.342 0.730 0.551 1
Zn8 Zn 0.342 0.770 0.051 1
Zn9 Zn 0.658 0.230 0.949 1
Zn10 Zn 0.658 0.270 0.449 1
Zn11 Zn 0.742 0.597 0.041 1
Zn12 Zn 0.742 0.903 0.541 1
Zn13 Zn 0.800 0.599 0.510 1
Zn14 Zn 0.800 0.901 0.010 1
Zn15 Zn 0.934 0.743 0.318 1
Zn16 Zn 0.934 0.757 0.818 1
P1 P 0.081 0.241 0.858 1
P2 P 0.081 0.259 0.358 1
P3 P 0.166 0.614 0.942 1
P4 P 0.166 0.886 0.442 1
P5 P 0.195 0.589 0.416 1
P6 P 0.195 0.911 0.916 1
P7 P 0.805 0.089 0.084 1
P8 P 0.805 0.411 0.584 1
P9 P 0.834 0.114 0.558 1
P10 P 0.834 0.386 0.058 1
P11 P 0.919 0.741 0.642 1
P12 P 0.919 0.759 0.142 1
H1 H 0.084 0.021 0.224 1
H2 H 0.084 0.479 0.724 1
H3 H 0.092 0.589 0.730 1
H4 H 0.092 0.911 0.230 1
H5 H 0.188 0.529 0.809 1
H6 H 0.188 0.971 0.309 1
H7 H 0.238 0.573 0.227 1
H8 H 0.238 0.927 0.727 1
H9 H 0.332 0.527 0.149 1
H10 H 0.332 0.973 0.649 1
H11 H 0.439 0.734 0.280 1
H12 H 0.439 0.766 0.780 1
H13 H 0.444 0.517 0.683 1
H14 H 0.444 0.983 0.183 1
H15 H 0.450 0.090 0.742 1
H16 H 0.450 0.410 0.242 1
H17 H 0.465 0.102 0.291 1
H18 H 0.465 0.398 0.791 1
H19 H 0.478 0.722 0.860 1
H20 H 0.478 0.778 0.360 1
H21 H 0.522 0.222 0.640 1
H22 H 0.522 0.278 0.140 1
H23 H 0.535 0.602 0.209 1
H24 H 0.535 0.898 0.709 1
H25 H 0.550 0.590 0.758 1
H26 H 0.550 0.910 0.258 1
H27 H 0.556 0.017 0.817 1
H28 H 0.556 0.483 0.317 1
H29 H 0.561 0.234 0.220 1
H30 H 0.561 0.266 0.720 1
H31 H 0.668 0.027 0.351 1
H32 H 0.668 0.473 0.851 1
H33 H 0.762 0.073 0.273 1
H34 H 0.762 0.427 0.773 1
H35 H 0.812 0.029 0.691 1
H36 H 0.812 0.471 0.191 1
H37 H 0.908 0.089 0.770 1
H38 H 0.908 0.411 0.270 1
H39 H 0.916 0.521 0.276 1
H40 H 0.916 0.979 0.776 1
C1 C 0.402 0.547 0.208 1
C2 C 0.402 0.953 0.708 1
C3 C 0.458 0.527 0.743 1
C4 C 0.458 0.973 0.243 1
C5 C 0.542 0.027 0.757 1
C6 C 0.542 0.473 0.257 1
C7 C 0.598 0.047 0.292 1
C8 C 0.598 0.453 0.792 1
N1 N 0.186 0.532 0.752 1
N2 N 0.186 0.968 0.252 1
N3 N 0.814 0.032 0.748 1
N4 N 0.814 0.468 0.248 1
O1 O 0.054 0.623 0.336 1
O2 O 0.054 0.877 0.836 1
O3 O 0.094 0.004 0.921 1
O4 O 0.094 0.496 0.421 1
O5 O 0.105 0.118 0.543 1
O6 O 0.105 0.382 0.043 1
O7 O 0.109 0.647 0.478 1
O8 O 0.109 0.853 0.978 1
O9 O 0.112 0.204 0.782 1
O10 O 0.112 0.296 0.282 1
O11 O 0.132 0.161 0.364 1
O12 O 0.132 0.339 0.864 1
O13 O 0.181 0.674 0.875 1
O14 O 0.181 0.826 0.375 1
O15 O 0.193 0.716 0.636 1
O16 O 0.193 0.784 0.136 1
O17 O 0.245 0.522 0.922 1
O18 O 0.245 0.978 0.422 1
O19 O 0.288 0.195 0.925 1
O20 O 0.288 0.305 0.425 1
O21 O 0.375 0.648 0.014 1
O22 O 0.375 0.852 0.514 1
O23 O 0.433 0.244 0.172 1
O24 O 0.433 0.256 0.672 1
O25 O 0.488 0.595 0.429 1
O26 O 0.488 0.905 0.929 1
O27 O 0.512 0.095 0.071 1
O28 O 0.512 0.405 0.571 1
O29 O 0.567 0.744 0.328 1
O30 O 0.567 0.756 0.828 1
O31 O 0.625 0.148 0.486 1
O32 O 0.625 0.352 0.986 1
O33 O 0.712 0.695 0.575 1
O34 O 0.712 0.805 0.075 1
O35 O 0.755 0.022 0.578 1
O36 O 0.755 0.478 0.078 1
O37 O 0.807 0.216 0.864 1
O38 O 0.807 0.284 0.364 1
O39 O 0.819 0.174 0.625 1
O40 O 0.819 0.326 0.125 1
O41 O 0.868 0.661 0.136 1
O42 O 0.868 0.839 0.636 1
O43 O 0.888 0.704 0.718 1
O44 O 0.888 0.796 0.218 1
O45 O 0.891 0.147 0.022 1
O46 O 0.891 0.353 0.522 1
O47 O 0.895 0.618 0.957 1
O48 O 0.895 0.882 0.457 1
O49 O 0.906 0.504 0.579 1
O50 O 0.906 0.996 0.079 1
O51 O 0.946 0.123 0.164 1
O52 O 0.946 0.377 0.664 1
```

Calculated values
Total energy = -0.423 Ry per atom
M_tot = 0.024 μB per formula unit
Symmetry = No. 14
Energy of formation from the pure elements = -52.493 eV per formula unit

# 2
DFT (PBE-GGA) results for a relaxed ZnP2H13C2N6O8 crystal.

The structure in CIF format:
```
data_ZnP2H13C2N6O8
_chemical_formula_sum 'Zn4 P8 H52 C8 N24 O32'
_cell_length_a 10.634
_cell_length_b 12.619
_cell_length_c 10.246
_cell_angle_alpha 90.00
_cell_angle_beta 90.00
_cell_angle_gamma 90.00
_space_group_name_H-M_alt 'P 1'
_space_group_IT_number 1
loop_
_space_group_symop_operation_xyz
'x,y,z'
loop_
_atom_site_label
_atom_site_type_symbol
_atom_site_fract_x
_atom_site_fract_y
_atom_site_fract_z
_atom_site_occupancy
Zn1 Zn 0.021 0.133 0.000 1
Zn2 Zn 0.479 0.633 0.500 1
Zn3 Zn 0.521 0.367 0.000 1
Zn4 Zn 0.979 0.867 0.500 1
P1 P 0.005 0.983 0.759 1
P2 P 0.233 0.756 0.592 1
P3 P 0.267 0.256 0.092 1
P4 P 0.495 0.483 0.259 1
P5 P 0.505 0.517 0.759 1
P6 P 0.733 0.744 0.592 1
P7 P 0.767 0.244 0.092 1
P8 P 0.995 0.017 0.259 1
H1 H 0.060 0.646 0.751 1
H2 H 0.063 0.611 0.460 1
H3 H 0.097 0.393 0.235 1
H4 H 0.103 0.151 0.633 1
H5 H 0.124 0.180 0.469 1
H6 H 0.139 0.878 0.037 1
H7 H 0.156 0.449 0.974 1
H8 H 0.167 0.831 0.255 1
H9 H 0.168 0.537 0.368 1
H10 H 0.199 0.555 0.872 1
H11 H 0.200 0.930 0.695 1
H12 H 0.220 0.810 0.914 1
H13 H 0.221 0.237 0.800 1
H14 H 0.279 0.737 0.300 1
H15 H 0.280 0.310 0.414 1
H16 H 0.300 0.430 0.195 1
H17 H 0.301 0.055 0.372 1
H18 H 0.332 0.037 0.868 1
H19 H 0.333 0.331 0.755 1
H20 H 0.344 0.949 0.474 1
H21 H 0.361 0.378 0.537 1
H22 H 0.376 0.680 0.969 1
H23 H 0.397 0.651 0.133 1
H24 H 0.403 0.893 0.735 1
H25 H 0.437 0.111 0.960 1
H26 H 0.440 0.146 0.251 1
H27 H 0.560 0.854 0.751 1
H28 H 0.563 0.889 0.460 1
H29 H 0.597 0.107 0.235 1
H30 H 0.603 0.349 0.633 1
H31 H 0.624 0.320 0.469 1
H32 H 0.639 0.622 0.037 1
H33 H 0.656 0.051 0.974 1
H34 H 0.667 0.669 0.255 1
H35 H 0.668 0.963 0.368 1
H36 H 0.699 0.945 0.872 1
H37 H 0.700 0.570 0.695 1
H38 H 0.720 0.690 0.914 1
H39 H 0.721 0.263 0.800 1
H40 H 0.779 0.763 0.300 1
H41 H 0.780 0.190 0.414 1
H42 H 0.800 0.070 0.195 1
H43 H 0.801 0.445 0.372 1
H44 H 0.832 0.463 0.868 1
H45 H 0.833 0.169 0.755 1
H46 H 0.844 0.551 0.474 1
H47 H 0.861 0.122 0.537 1
H48 H 0.876 0.820 0.969 1
H49 H 0.897 0.849 0.133 1
H50 H 0.903 0.607 0.735 1
H51 H 0.937 0.389 0.960 1
H52 H 0.940 0.354 0.251 1
C1 C 0.013 0.519 0.863 1
C2 C 0.235 0.266 0.601 1
C3 C 0.265 0.766 0.101 1
C4 C 0.487 0.019 0.363 1
C5 C 0.513 0.981 0.863 1
C6 C 0.735 0.234 0.601 1
C7 C 0.765 0.734 0.101 1
C8 C 0.987 0.481 0.363 1
N1 N 0.013 0.401 0.283 1
N2 N 0.079 0.548 0.400 1
N3 N 0.131 0.506 0.906 1
N4 N 0.146 0.197 0.565 1
N5 N 0.204 0.823 0.010 1
N6 N 0.236 0.779 0.227 1
N7 N 0.264 0.279 0.727 1
N8 N 0.296 0.323 0.510 1
N9 N 0.354 0.697 0.065 1
N10 N 0.369 0.006 0.406 1
N11 N 0.421 0.048 0.900 1
N12 N 0.487 0.901 0.783 1
N13 N 0.513 0.099 0.283 1
N14 N 0.579 0.952 0.400 1
N15 N 0.631 0.994 0.906 1
N16 N 0.646 0.303 0.565 1
N17 N 0.704 0.677 0.010 1
N18 N 0.736 0.721 0.227 1
N19 N 0.764 0.221 0.727 1
N20 N 0.796 0.177 0.510 1
N21 N 0.854 0.803 0.065 1
N22 N 0.869 0.494 0.406 1
N23 N 0.921 0.452 0.900 1
N24 N 0.987 0.599 0.783 1
O1 O 0.029 0.910 0.323 1
O2 O 0.034 0.008 0.113 1
O3 O 0.052 0.116 0.322 1
O4 O 0.094 0.750 0.544 1
O5 O 0.154 0.976 0.769 1
O6 O 0.185 0.200 0.988 1
O7 O 0.225 0.373 0.105 1
O8 O 0.231 0.700 0.726 1
O9 O 0.269 0.200 0.226 1
O10 O 0.275 0.873 0.605 1
O11 O 0.315 0.700 0.488 1
O12 O 0.346 0.476 0.269 1
O13 O 0.406 0.250 0.044 1
O14 O 0.448 0.616 0.822 1
O15 O 0.466 0.508 0.613 1
O16 O 0.471 0.410 0.823 1
O17 O 0.529 0.590 0.323 1
O18 O 0.534 0.492 0.113 1
O19 O 0.552 0.384 0.322 1
O20 O 0.594 0.750 0.544 1
O21 O 0.654 0.524 0.769 1
O22 O 0.685 0.300 0.988 1
O23 O 0.725 0.127 0.105 1
O24 O 0.731 0.800 0.726 1
O25 O 0.769 0.300 0.226 1
O26 O 0.775 0.627 0.605 1
O27 O 0.815 0.800 0.488 1
O28 O 0.846 0.024 0.269 1
O29 O 0.906 0.250 0.044 1
O30 O 0.948 0.884 0.822 1
O31 O 0.966 0.992 0.613 1
O32 O 0.971 0.090 0.823 1
```

Calculated values
Total energy = -0.443 Ry per atom
M_tot = 0.978 μB per formula unit
Symmetry = No. 33
Energy of formation from the pure elements = -33.933 eV per formula unit

Q: Among the records above, which one has the lowest energy of formation from the pure elements?
A: Zn4P3H10C2NO13

Q: Which of these has the lowest energy of formation from the pure elements?
A: Zn4P3H10C2NO13